Computed, not measured: crystalline Na7Ca3TiP5SO24 at its relaxed geometry at the PBE level of DFT.

Unit cell a=9.326 b=9.337 c=22.584 alpha=89.93 beta=89.76 gamma=60.08
Space group P1 (No. 1)
Inequivalent atoms, fractional coordinates:
1 Na 0.000 0.000 0.000 x1
2 Na 0.000 0.370 0.500 x1
3 Na 0.295 0.361 0.000 x1
4 Na 0.296 0.721 0.503 x1
5 Na 0.320 0.018 0.079 x1
6 Na 0.321 0.661 0.844 x1
7 Na 0.322 0.372 0.332 x1
8 Na 0.324 0.012 0.593 x1
9 Na 0.342 0.692 0.166 x1
10 Na 0.347 0.319 0.680 x1
11 Na 0.604 0.070 0.169 x1
12 Na 0.609 0.694 0.675 x1
13 Na 0.648 0.980 0.502 x1
14 Na 0.649 0.339 0.760 x1
15 Na 0.662 0.337 0.256 x1
16 Na 0.670 0.671 0.338 x1
17 Na 0.948 0.382 0.844 x1
18 Na 0.955 0.702 0.923 x1
19 Na 0.967 0.702 0.414 x1
20 Na 0.989 0.058 0.679 x1
21 Na 0.992 0.311 0.168 x1
22 Ca 0.308 0.026 0.241 x1
23 Ca 0.315 0.020 0.425 x1
24 Ca 0.319 0.024 0.743 x1
25 Ca 0.646 0.357 0.095 x1
26 Ca 0.648 0.363 0.609 x1
27 Ca 0.649 0.353 0.904 x1
28 Ca 0.658 0.354 0.400 x1
29 Ca 0.979 0.689 0.574 x1
30 Ca 0.980 0.687 0.066 x1
31 Ti 0.327 0.015 0.934 x1
32 Ti 0.976 0.696 0.772 x1
33 Ti 0.994 0.696 0.271 x1
34 P 0.005 0.350 0.333 x1
35 P 0.021 0.012 0.833 x1
36 P 0.272 0.690 0.672 x1
37 P 0.275 0.399 0.172 x1
38 P 0.301 0.334 0.834 x1
39 P 0.310 0.711 0.335 x1
40 P 0.342 0.676 0.000 x1
41 P 0.620 0.730 0.833 x1
42 P 0.635 0.012 0.332 x1
43 P 0.635 0.051 0.002 x1
44 P 0.644 0.667 0.503 x1
45 P 0.691 0.983 0.672 x1
46 P 0.973 0.339 0.998 x1
47 P 0.980 0.983 0.170 x1
48 P 0.982 0.397 0.673 x1
49 S 0.346 0.353 0.503 x1
50 S 0.690 0.687 0.174 x1
51 S 0.955 0.053 0.505 x1
52 O 0.010 0.482 0.002 x1
53 O 0.010 0.846 0.830 x1
54 O 0.092 0.033 0.775 x1
55 O 0.092 0.245 0.278 x1
56 O 0.109 0.276 0.390 x1
57 O 0.120 0.043 0.500 x1
58 O 0.130 0.507 0.832 x1
59 O 0.135 0.002 0.175 x1
60 O 0.135 0.222 0.677 x1
61 O 0.145 0.984 0.886 x1
62 O 0.148 0.173 0.989 x1
63 O 0.148 0.697 0.326 x1
64 O 0.160 0.686 0.725 x1
65 O 0.162 0.709 0.002 x1
66 O 0.164 0.513 0.225 x1
67 O 0.180 0.506 0.504 x1
68 O 0.182 0.476 0.114 x1
69 O 0.187 0.704 0.613 x1
70 O 0.280 0.808 0.393 x1
71 O 0.284 0.230 0.886 x1
72 O 0.298 0.840 0.676 x1
73 O 0.301 0.222 0.177 x1
74 O 0.324 0.205 0.500 x1
75 O 0.324 0.244 0.776 x1
76 O 0.328 0.852 0.989 x1
77 O 0.341 0.794 0.281 x1
78 O 0.427 0.562 0.947 x1
79 O 0.434 0.361 0.449 x1
80 O 0.436 0.609 0.059 x1
81 O 0.440 0.375 0.842 x1
82 O 0.440 0.525 0.677 x1
83 O 0.443 0.338 0.557 x1
84 O 0.444 0.395 0.175 x1
85 O 0.454 0.530 0.338 x1
86 O 0.474 0.041 0.987 x1
87 O 0.486 0.843 0.502 x1
88 O 0.509 0.854 0.884 x1
89 O 0.516 0.005 0.676 x1
90 O 0.519 0.833 0.176 x1
91 O 0.524 0.035 0.279 x1
92 O 0.528 0.791 0.775 x1
93 O 0.566 0.973 0.389 x1
94 O 0.589 0.150 0.062 x1
95 O 0.631 0.580 0.560 x1
96 O 0.649 0.168 0.338 x1
97 O 0.649 0.555 0.844 x1
98 O 0.656 0.565 0.447 x1
99 O 0.662 0.149 0.954 x1
100 O 0.680 0.531 0.172 x1
101 O 0.686 0.151 0.678 x1
102 O 0.760 0.900 0.612 x1
103 O 0.769 0.705 0.121 x1
104 O 0.787 0.678 0.228 x1
105 O 0.787 0.878 0.005 x1
106 O 0.795 0.719 0.831 x1
107 O 0.803 0.684 0.502 x1
108 O 0.810 0.852 0.323 x1
109 O 0.810 0.866 0.723 x1
110 O 0.818 0.153 0.176 x1
111 O 0.819 0.391 0.678 x1
112 O 0.826 0.384 0.336 x1
113 O 0.849 0.140 0.454 x1
114 O 0.850 0.165 0.842 x1
115 O 0.866 0.360 0.944 x1
116 O 0.876 0.142 0.561 x1
117 O 0.902 0.307 0.056 x1
118 O 0.976 0.516 0.725 x1
119 O 0.979 0.867 0.222 x1
120 O 0.980 0.882 0.505 x1
121 O 0.991 0.894 0.112 x1
122 O 0.992 0.527 0.327 x1
123 O 0.998 0.468 0.613 x1

Properties
final energy	-6.628	eV per atom

---

Computed, not measured: crystalline Na2CaTi3P4S2O24 at its relaxed geometry at the PBE level of DFT.

Unit cell a=8.729 b=8.736 c=22.705 alpha=89.69 beta=89.83 gamma=60.05
Space group P1 (No. 1)
Inequivalent atoms, fractional coordinates:
1 Na 0.000 0.000 0.000 x1
2 Na 0.001 0.999 0.496 x1
3 Na 0.333 0.335 0.327 x1
4 Na 0.338 0.333 0.832 x1
5 Na 0.664 0.665 0.664 x1
6 Na 0.671 0.665 0.167 x1
7 Ca 0.331 0.331 0.185 x1
8 Ca 0.337 0.330 0.691 x1
9 Ca 0.666 0.663 0.512 x1
10 Ti 0.003 0.986 0.648 x1
11 Ti 0.336 0.318 0.979 x1
12 Ti 0.336 0.328 0.471 x1
13 Ti 0.660 0.671 0.815 x1
14 Ti 0.674 0.660 0.015 x1
15 Ti 0.675 0.657 0.315 x1
16 Ti 0.979 0.009 0.147 x1
17 Ti 0.996 0.995 0.352 x1
18 Ti 0.997 0.992 0.857 x1
19 P 0.036 0.329 0.080 x1
20 P 0.287 0.722 0.754 x1
21 P 0.368 0.666 0.413 x1
22 P 0.378 0.951 0.916 x1
23 P 0.629 0.030 0.080 x1
24 P 0.663 0.378 0.915 x1
25 P 0.668 0.959 0.414 x1
26 P 0.718 0.291 0.252 x1
27 P 0.724 0.983 0.753 x1
28 P 0.957 0.658 0.914 x1
29 P 0.966 0.361 0.414 x1
30 P 0.988 0.719 0.251 x1
31 S 0.045 0.628 0.583 x1
32 S 0.289 0.984 0.250 x1
33 S 0.322 0.043 0.583 x1
34 S 0.334 0.629 0.078 x1
35 S 0.634 0.319 0.582 x1
36 S 0.986 0.284 0.752 x1
37 O 0.001 0.179 0.805 x1
38 O 0.005 0.174 0.400 x1
39 O 0.023 0.158 0.086 x1
40 O 0.036 0.808 0.587 x1
41 O 0.091 0.378 0.136 x1
42 O 0.123 0.531 0.636 x1
43 O 0.142 0.495 0.923 x1
44 O 0.143 0.303 0.751 x1
45 O 0.150 0.538 0.251 x1
46 O 0.151 0.035 0.587 x1
47 O 0.151 0.352 0.421 x1
48 O 0.152 0.542 0.529 x1
49 O 0.164 0.303 0.027 x1
50 O 0.173 0.807 0.083 x1
51 O 0.174 0.826 0.807 x1
52 O 0.180 0.817 0.399 x1
53 O 0.185 0.997 0.303 x1
54 O 0.192 0.975 0.908 x1
55 O 0.197 0.831 0.695 x1
56 O 0.202 0.970 0.195 x1
57 O 0.302 0.543 0.754 x1
58 O 0.304 0.151 0.529 x1
59 O 0.307 0.141 0.250 x1
60 O 0.308 0.537 0.027 x1
61 O 0.341 0.122 0.636 x1
62 O 0.355 0.493 0.421 x1
63 O 0.362 0.136 0.923 x1
64 O 0.372 0.530 0.133 x1
65 O 0.422 0.710 0.470 x1
66 O 0.464 0.819 0.254 x1
67 O 0.466 0.834 0.969 x1
68 O 0.471 0.711 0.757 x1
69 O 0.471 0.861 0.578 x1
70 O 0.490 0.655 0.067 x1
71 O 0.495 0.147 0.420 x1
72 O 0.496 0.866 0.860 x1
73 O 0.497 0.359 0.923 x1
74 O 0.498 0.632 0.361 x1
75 O 0.527 0.091 0.136 x1
76 O 0.533 0.157 0.026 x1
77 O 0.535 0.339 0.635 x1
78 O 0.539 0.305 0.252 x1
79 O 0.543 0.145 0.754 x1
80 O 0.543 0.301 0.528 x1
81 O 0.635 0.865 0.361 x1
82 O 0.636 0.497 0.859 x1
83 O 0.660 0.844 0.065 x1
84 O 0.665 0.469 0.578 x1
85 O 0.694 0.466 0.968 x1
86 O 0.710 0.472 0.256 x1
87 O 0.712 0.862 0.471 x1
88 O 0.718 0.809 0.757 x1
89 O 0.811 0.150 0.587 x1
90 O 0.813 0.712 0.257 x1
91 O 0.816 0.016 0.086 x1
92 O 0.818 0.000 0.401 x1
93 O 0.821 0.460 0.755 x1
94 O 0.825 0.998 0.807 x1
95 O 0.826 0.176 0.304 x1
96 O 0.827 0.199 0.193 x1
97 O 0.830 0.193 0.907 x1
98 O 0.835 0.967 0.695 x1
99 O 0.839 0.691 0.969 x1
100 O 0.848 0.485 0.064 x1
101 O 0.862 0.663 0.578 x1
102 O 0.864 0.418 0.470 x1
103 O 0.866 0.634 0.860 x1
104 O 0.870 0.492 0.361 x1
105 O 0.970 0.199 0.697 x1
106 O 0.970 0.832 0.194 x1
107 O 0.976 0.826 0.908 x1
108 O 0.999 0.821 0.304 x1

Properties
final energy	-7.251	eV per atom